Entry 1:
Compound: NaCaLaSeO6
Source: the Materials Project
Functional: PBE
Structure: optimized geometry

The structure in CIF format:
```
data_NaCaLaSeO6
_chemical_formula_sum 'Na4 Ca4 La4 Se4 O24'
_cell_length_a 8.012
_cell_length_b 8.012
_cell_length_c 8.012
_cell_angle_alpha 90.00
_cell_angle_beta 90.00
_cell_angle_gamma 90.00
_symmetry_space_group_name_H-M 'F -4 3 m'
_symmetry_Int_Tables_number 216
_symmetry_space_group_name_Hall 'F -4 2 3'
loop_
_atom_site_label
_atom_site_type_symbol
_atom_site_fract_x
_atom_site_fract_y
_atom_site_fract_z
Na1 Na 0.000 0.000 0.000
Ca1 Ca 0.250 0.250 0.750
La1 La 0.000 0.000 0.500
Se1 Se 0.250 0.250 0.250
O1 O 0.025 0.250 0.250
```

Summary:
* total energy after the MP2020 corrections: -6.531 eV per atom
* formation energy: -2386 meV per atom
* magnetic moment: 0.00 Bohr magnetons per cell

=====

Entry 2:
Compound: SiH17C11N
Source: the Materials Project
Functional: PBE
Structure: optimized geometry

The structure in CIF format:
```
data_SiH17C11N
_chemical_formula_sum 'Si2 H34 C22 N2'
_cell_length_a 7.667
_cell_length_b 8.546
_cell_length_c 10.399
_cell_angle_alpha 105.04
_cell_angle_beta 92.69
_cell_angle_gamma 110.21
_symmetry_space_group_name_H-M 'P -1'
_symmetry_Int_Tables_number 2
loop_
_symmetry_equiv_pos_as_xyz
'x,y,z'
'-x,-y,-z'
loop_
_atom_site_label
_atom_site_type_symbol
_atom_site_fract_x
_atom_site_fract_y
_atom_site_fract_z
Si1 Si 0.168 0.074 0.063
H1 H 0.034 0.132 0.735
H2 H 0.044 0.405 0.101
H3 H 0.075 0.459 0.819
H4 H 0.169 0.153 0.602
H5 H 0.196 0.649 0.955
H6 H 0.206 0.853 0.169
H7 H 0.220 0.499 0.636
H8 H 0.255 0.494 0.390
H9 H 0.278 0.366 0.018
H10 H 0.281 0.231 0.771
H11 H 0.285 0.944 0.498
H12 H 0.334 0.696 0.352
H13 H 0.338 0.071 0.271
H14 H 0.401 0.375 0.172
H15 H 0.423 0.978 0.128
H16 H 0.460 0.282 0.016
H17 H 0.485 0.649 0.457
C1 C 0.089 0.595 0.864
C2 C 0.125 0.862 0.784
C3 C 0.142 0.697 0.765
C4 C 0.164 0.125 0.699
C5 C 0.177 0.950 0.686
C6 C 0.211 0.627 0.650
C7 C 0.245 0.874 0.573
C8 C 0.264 0.713 0.553
C9 C 0.294 0.984 0.167
C10 C 0.338 0.634 0.431
C11 C 0.341 0.295 0.067
N1 N 0.056 0.936 0.901
```

Summary:
* total energy after the MP2020 corrections: -5.924 eV per atom
* formation energy: -158 meV per atom
* magnetic moment: 0.00 Bohr magnetons per cell

=====

Entry 3:
Compound: DyTmAg2
Source: the Materials Project
Functional: PBE
Structure: optimized geometry

The structure in CIF format:
```
data_DyTmAg2
_chemical_formula_sum 'Dy4 Tm4 Ag8'
_cell_length_a 7.242
_cell_length_b 7.242
_cell_length_c 7.242
_cell_angle_alpha 90.00
_cell_angle_beta 90.00
_cell_angle_gamma 90.00
_symmetry_space_group_name_H-M 'F m -3 m'
_symmetry_Int_Tables_number 225
_symmetry_space_group_name_Hall '-F 4 2 3'
loop_
_atom_site_label
_atom_site_type_symbol
_atom_site_fract_x
_atom_site_fract_y
_atom_site_fract_z
Dy1 Dy 0.000 0.000 0.000
Tm1 Tm 0.000 0.000 0.500
Ag1 Ag 0.250 0.250 0.250
```

Summary:
* formation energy: -337 meV per atom

=====

Entry 4:
Compound: Er2Se3O9
Source: the Materials Project
Functional: PBE
Structure: optimized geometry

The structure in CIF format:
```
data_Er2Se3O9
_chemical_formula_sum 'Er4 Se6 O18'
_cell_length_a 7.053
_cell_length_b 8.097
_cell_length_c 9.048
_cell_angle_alpha 71.56
_cell_angle_beta 70.05
_cell_angle_gamma 66.06
_symmetry_space_group_name_H-M 'P -1'
_symmetry_Int_Tables_number 2
loop_
_symmetry_equiv_pos_as_xyz
'x,y,z'
'-x,-y,-z'
loop_
_atom_site_label
_atom_site_type_symbol
_atom_site_fract_x
_atom_site_fract_y
_atom_site_fract_z
Er1 Er 0.165 0.273 0.409
Er2 Er 0.242 0.736 0.797
Se1 Se 0.073 0.225 0.802
Se2 Se 0.353 0.250 0.035
Se3 Se 0.386 0.760 0.414
O1 O 0.018 0.594 0.352
O2 O 0.091 0.289 0.151
O3 O 0.140 0.055 0.695
O4 O 0.151 0.791 0.050
O5 O 0.155 0.747 0.565
O6 O 0.333 0.435 0.879
O7 O 0.340 0.989 0.346
O8 O 0.433 0.306 0.169
O9 O 0.467 0.293 0.445
```

Summary:
* total energy after the MP2020 corrections: -6.935 eV per atom
* formation energy: -2352 meV per atom

=====

Q: What is the formation energy in the third record?
A: -337 meV per atom